A plane-wave DFT calculation with PBE was carried out for a relaxed Tm5Sn3 crystal.

Unit cell a=6.4627 b=8.8372 c=8.8399 alpha=119.99 beta=90.00 gamma=90.00
With the nearest neighbours (Å) after each atom.
Atoms (fractional coordinates):
1 Tm 0.5000 0.3334 0.6668  6 Sn 3.16, 2 Tm 3.23
2 Tm 0.5000 0.6666 0.3332  6 Sn 3.16, 2 Tm 3.23
3 Tm 0.0000 0.6666 0.3332  6 Sn 3.16, 2 Tm 3.23
4 Tm 0.0000 0.3334 0.6668  6 Sn 3.16, 2 Tm 3.23
5 Tm 0.7500 0.2393 0.0000  3 Sn 3.04-3.23
6 Tm 0.7500 0.7606 0.7607  3 Sn 3.04-3.24
7 Tm 0.7500 0.9999 0.2393  3 Sn 3.04-3.24
8 Tm 0.2500 0.7607 0.0000  3 Sn 3.04-3.23
9 Tm 0.2500 0.2394 0.2393  3 Sn 3.04-3.24
10 Tm 0.2500 0.0001 0.7607  3 Sn 3.04-3.24
11 Sn 0.7500 0.6053 0.0000  7 Tm 3.04-3.23
12 Sn 0.7500 0.3946 0.3946  7 Tm 3.04-3.24
13 Sn 0.7500 0.0000 0.6054  7 Tm 3.04-3.24
14 Sn 0.2500 0.3947 0.0000  7 Tm 3.04-3.23
15 Sn 0.2500 0.6054 0.6054  7 Tm 3.04-3.24
16 Sn 0.2500 0.0000 0.3946  7 Tm 3.04-3.24

Summary:
Total energy, eV per cell: -79.95
Magnetic moment, μB per formula unit: 0.00
Space-group type: P6_3/mcm
ρ, g cm⁻³: 9.1

=====

A plane-wave DFT calculation with PBE was carried out for a relaxed TmSn2 crystal.

Unit cell a=8.3980 b=8.3980 c=4.3479 alpha=90.00 beta=90.00 gamma=149.65
With the nearest neighbours (Å) after each atom.
Atoms (fractional coordinates):
1 Tm 0.9013 0.0987 0.7500  10 Sn 3.14-3.43
2 Tm 0.0987 0.9013 0.2500  10 Sn 3.14-3.43
3 Sn 0.5641 0.4359 0.7500  2 Sn 3.01, 4 Tm 3.14
4 Sn 0.4359 0.5641 0.2500  2 Sn 3.01, 4 Tm 3.14
5 Sn 0.2505 0.7495 0.7500  4 Sn 3.09, 4 Tm 3.28-3.29
6 Sn 0.7495 0.2505 0.2500  4 Sn 3.09, 4 Tm 3.28-3.29

Summary:
Total energy, eV per cell: -28.22
Space-group type: Cmcm
ρ, g cm⁻³: 8.7

=====

A plane-wave DFT calculation with PBE was carried out for a relaxed TmSn3 crystal.

Unit cell a=11.2287 b=11.2287 c=4.4270 alpha=90.00 beta=90.00 gamma=157.35
With the nearest neighbours (Å) after each atom.
Atoms (fractional coordinates):
1 Tm 0.4821 0.5179 0.5000  12 Sn 3.13-3.44
2 Tm 0.2129 0.7871 0.0000  9 Sn 3.14-3.35
3 Sn 0.0989 0.9011 0.5000  6 Sn 3.12-3.49, 4 Tm 3.35-3.39
4 Sn 0.7281 0.2719 0.5000  1 Sn 3.01, 4 Tm 3.14
5 Sn 0.8647 0.1353 0.5000  7 Sn 3.01-3.31
6 Sn 0.9762 0.0238 0.0000  4 Tm 3.13, 6 Sn 3.31-3.49
7 Sn 0.3627 0.6373 0.0000  6 Sn 3.12-3.33, 3 Tm 3.30-3.44
8 Sn 0.6003 0.3997 0.0000  4 Sn 3.12, 4 Tm 3.32-3.42

Summary:
Total energy, eV per cell: -35.56
Magnetic moment, μB per formula unit: 0.01
Space-group type: Amm2
ρ, g cm⁻³: 8.1

=====

A plane-wave DFT calculation with PBE was carried out for a relaxed Tm11Sn10 crystal.

Unit cell a=11.7200 b=11.7200 c=11.7200 alpha=121.13 beta=121.13 gamma=88.05
With the nearest neighbours (Å) after each atom.
Atoms (fractional coordinates):
1 Tm 0.8116 0.0636 0.2520  5 Sn 3.04-3.39
2 Tm 0.8116 0.5596 0.7480  5 Sn 3.04-3.39
3 Tm 0.0636 0.8116 0.2520  5 Sn 3.04-3.39
4 Tm 0.5596 0.8116 0.7480  5 Sn 3.04-3.39
5 Tm 0.1884 0.9364 0.7480  5 Sn 3.04-3.39
6 Tm 0.1884 0.4404 0.2520  5 Sn 3.04-3.39
7 Tm 0.9364 0.1884 0.7480  5 Sn 3.04-3.39
8 Tm 0.4404 0.1884 0.2520  5 Sn 3.04-3.39
9 Tm 0.1743 0.1743 0.3487  3 Sn 2.90-3.19
10 Tm 0.8257 0.8257 0.6513  3 Sn 2.90-3.19
11 Tm 0.1743 0.8257 0.0000  3 Sn 2.90-3.19
12 Tm 0.8257 0.1743 0.0000  3 Sn 2.90-3.19
13 Tm 0.6642 0.6642 0.0000  9 Sn 3.37-3.76
14 Tm 0.3358 0.3358 0.0000  9 Sn 3.37-3.76
15 Tm 0.6023 0.9326 0.3303  7 Sn 3.03-3.25
16 Tm 0.6023 0.2721 0.6697  7 Sn 3.03-3.25
17 Tm 0.9326 0.6023 0.3303  7 Sn 3.03-3.25
18 Tm 0.2721 0.6023 0.6697  7 Sn 3.03-3.25
19 Tm 0.3977 0.0674 0.6697  7 Sn 3.03-3.25
20 Tm 0.3977 0.7279 0.3303  7 Sn 3.03-3.25
21 Tm 0.0674 0.3977 0.6697  7 Sn 3.03-3.25
22 Tm 0.7279 0.3977 0.3303  7 Sn 3.03-3.25
23 Sn 0.3558 0.0000 0.3558  6 Tm 2.90-3.09
24 Sn 0.6442 0.0000 0.6442  6 Tm 2.90-3.09
25 Sn 0.0000 0.6442 0.6442  6 Tm 2.90-3.09
26 Sn 0.0000 0.3558 0.3558  6 Tm 2.90-3.09
27 Sn 0.8870 0.8870 0.0000  8 Tm 3.17-3.42
28 Sn 0.1130 0.1130 0.0000  8 Tm 3.17-3.42
29 Sn 0.3700 0.3700 0.7401  4 Sn 2.99-3.21, 5 Tm 3.19-3.25
30 Sn 0.6300 0.6300 0.2599  4 Sn 2.99-3.21, 5 Tm 3.19-3.25
31 Sn 0.3700 0.6300 0.0000  4 Sn 2.99-3.21, 5 Tm 3.19-3.25
32 Sn 0.6300 0.3700 0.0000  4 Sn 2.99-3.21, 5 Tm 3.19-3.25
33 Sn 0.7500 0.2500 0.5000  8 Tm 3.04-3.17
34 Sn 0.2500 0.7500 0.5000  8 Tm 3.04-3.17
35 Sn 0.8819 0.8819 0.4132  2 Sn 2.89-3.21, 2 Tm 3.03
36 Sn 0.4686 0.4686 0.5868  2 Sn 2.89-3.21, 2 Tm 3.03
37 Sn 0.8819 0.4686 0.0000  2 Sn 2.89-3.21, 2 Tm 3.03
38 Sn 0.4686 0.8819 0.0000  2 Sn 2.89-3.21, 2 Tm 3.03
39 Sn 0.1181 0.1181 0.5868  2 Sn 2.89-3.21, 2 Tm 3.03
40 Sn 0.5314 0.5314 0.4132  2 Sn 2.89-3.21, 2 Tm 3.03
41 Sn 0.1181 0.5314 0.0000  2 Sn 2.89-3.21, 2 Tm 3.03
42 Sn 0.5314 0.1181 0.0000  2 Sn 2.89-3.21, 2 Tm 3.03

Summary:
Total energy, eV per cell: -207.41
Space-group type: I4/mmm
ρ, g cm⁻³: 9.0

=====

A plane-wave DFT calculation with PBE was carried out for a relaxed TmZnSn crystal.

Unit cell a=4.5142 b=4.5142 c=15.3221 alpha=90.00 beta=90.00 gamma=120.00
With the nearest neighbours (Å) after each atom.
Atoms (fractional coordinates):
1 Tm 0.0000 0.0000 0.2500  6 Zn 2.95
2 Tm 0.0000 0.0000 0.7500  6 Zn 2.95
3 Tm 0.0000 0.0000 0.0000  6 Sn 3.11
4 Tm 0.0000 0.0000 0.5000  6 Sn 3.11
5 Zn 0.3333 0.6667 0.1593  3 Sn 2.71, 1 Zn 2.78, 3 Tm 2.95
6 Zn 0.6667 0.3333 0.8407  3 Sn 2.71, 1 Zn 2.78, 3 Tm 2.95
7 Zn 0.6667 0.3333 0.6593  3 Sn 2.71, 1 Zn 2.78, 3 Tm 2.95
8 Zn 0.3333 0.6667 0.3407  3 Sn 2.71, 1 Zn 2.78, 3 Tm 2.95
9 Sn 0.3333 0.6667 0.6108  3 Zn 2.71
10 Sn 0.6667 0.3333 0.3892  3 Zn 2.71
11 Sn 0.6667 0.3333 0.1108  3 Zn 2.71
12 Sn 0.3333 0.6667 0.8892  3 Zn 2.71

Summary:
Total energy, eV per cell: -45.40
Space-group type: P6_3/mmc
ρ, g cm⁻³: 8.7

=====

A plane-wave DFT calculation with PBE was carried out for a relaxed USn3 crystal.

Unit cell a=4.6340 b=4.6340 c=4.6340 alpha=90.00 beta=90.00 gamma=90.00
With the nearest neighbours (Å) after each atom.
Atoms (fractional coordinates):
1 U 0.0000 0.0000 0.0000  12 Sn 3.28
2 Sn 0.0000 0.5000 0.5000  8 Sn 3.28, 4 U 3.28
3 Sn 0.5000 0.5000 0.0000  4 U 3.28, 8 Sn 3.28
4 Sn 0.5000 0.0000 0.5000  8 Sn 3.28, 4 U 3.28

Summary:
Total energy, eV per cell: -23.82
Space-group type: Pm-3m
ρ, g cm⁻³: 9.9

=====

A plane-wave DFT calculation with PBE was carried out for a relaxed USn crystal.

Unit cell a=3.1110 b=3.1110 c=5.4809 alpha=90.00 beta=90.00 gamma=120.00
With the nearest neighbours (Å) after each atom.
Atoms (fractional coordinates):
1 U 0.0000 0.0000 0.0000  6 U 3.11, 6 Sn 3.28
2 Sn 0.3333 0.6667 0.5000  6 Sn 3.11, 6 U 3.28

Summary:
Total energy, eV per cell: -15.22
Magnetic moment, μB per formula unit: 0.02
Space-group type: P-6m2
ρ, g cm⁻³: 12.9

=====

A plane-wave DFT calculation with PBE was carried out for a relaxed VSn3 crystal.

Unit cell a=6.2384 b=6.2384 c=5.3669 alpha=90.00 beta=90.00 gamma=120.00
With the nearest neighbours (Å) after each atom.
Atoms (fractional coordinates):
1 V 0.3333 0.6667 0.7500  12 Sn 3.12-3.19
2 V 0.6667 0.3333 0.2500  12 Sn 3.12-3.19
3 Sn 0.1730 0.3460 0.2500  8 Sn 3.00-3.27, 4 V 3.12-3.19
4 Sn 0.6540 0.8270 0.2500  8 Sn 3.00-3.27, 4 V 3.12-3.19
5 Sn 0.1730 0.8270 0.2500  8 Sn 3.00-3.27, 4 V 3.12-3.19
6 Sn 0.8270 0.6540 0.7500  8 Sn 3.00-3.27, 4 V 3.12-3.19
7 Sn 0.3460 0.1730 0.7500  8 Sn 3.00-3.27, 4 V 3.12-3.19
8 Sn 0.8270 0.1730 0.7500  8 Sn 3.00-3.27, 4 V 3.12-3.19

Summary:
Total energy, eV per cell: -39.51
Magnetic moment, μB per formula unit: 2.66
Space-group type: P6_3/mmc
ρ, g cm⁻³: 7.5

=====

Table of formation enthalpy at 0 K (kJ/mol of formula units), in record order: -537 -156 -123 -1387 -155 -48 8 131